# 1
Density functional theory data (PBE-GGA) for an optimized crystal structure of Ta2N3O.

Geometry as POSCAR:
```
Ta2N3O
1.0
5.436 0.000 0.000
-2.718 4.708 0.000
0.000 0.000 2.797
Ta N O
2 3 1
direct
0.333 0.667 0.000 Ta
0.667 0.333 0.000 Ta
0.000 0.500 0.500 N
0.500 0.000 0.500 N
0.500 0.500 0.500 N
0.000 0.000 0.500 O
```

Computed properties:
**Size of the total moment**: 1.574 μB per formula unit
**ΔH_f (0 K)**: -0.5473 eV per atom

# 2
Density functional theory data (PBE-GGA) for an optimized crystal structure of TaNO.

Geometry as POSCAR:
```
TaNO
1.0
5.011 0.000 0.000
0.000 5.069 0.000
-0.882 0.000 5.154
Ta N O
4 4 4
direct
0.206 0.046 0.284 Ta
0.206 0.454 0.784 Ta
0.794 0.546 0.216 Ta
0.794 0.954 0.716 Ta
0.056 0.744 0.521 N
0.056 0.756 0.021 N
0.944 0.244 0.979 N
0.944 0.256 0.479 N
0.438 0.175 0.653 O
0.438 0.325 0.153 O
0.562 0.675 0.847 O
0.562 0.825 0.347 O
```

Computed properties:
**ΔH_f (0 K)**: -2.1474 eV per atom

# 3
Density functional theory data (PBE-GGA) for an optimized crystal structure of Ta3NO6.

Geometry as POSCAR:
```
Ta3NO6
1.0
10.462 -1.945 0.000
10.462 1.945 0.000
-6.038 0.000 10.417
Ta N O
9 3 18
direct
0.000 0.000 0.000 Ta
0.023 0.023 0.746 Ta
0.101 0.101 0.372 Ta
0.209 0.209 0.741 Ta
0.628 0.628 0.005 Ta
0.734 0.734 0.373 Ta
0.810 0.810 0.999 Ta
0.839 0.839 0.741 Ta
0.918 0.918 0.373 Ta
0.092 0.092 0.970 N
0.747 0.747 0.783 N
0.943 0.943 0.793 N
0.017 0.017 0.384 O
0.047 0.047 0.185 O
0.125 0.125 0.754 O
0.165 0.165 0.562 O
0.210 0.210 0.372 O
0.294 0.294 0.959 O
0.321 0.321 0.748 O
0.418 0.418 0.372 O
0.518 0.518 0.003 O
0.547 0.547 0.792 O
0.628 0.628 0.375 O
0.673 0.673 0.183 O
0.714 0.714 0.993 O
0.790 0.790 0.561 O
0.820 0.820 0.364 O
0.869 0.869 0.177 O
0.896 0.896 0.961 O
0.968 0.968 0.568 O
```

Computed properties:
**ΔH_f (0 K)**: -2.9905 eV per atom

# 4
Density functional theory data (PBE-GGA) for an optimized crystal structure of Th2N2O.

Geometry as POSCAR:
```
Th2N2O
1.0
3.955 0.000 0.000
-1.977 3.425 0.000
0.000 0.000 6.001
Th N O
2 2 1
direct
0.333 0.667 0.254 Th
0.667 0.333 0.746 Th
0.333 0.667 0.651 N
0.667 0.333 0.349 N
0.000 0.000 0.000 O
```

Computed properties:
**ΔH_f (0 K)**: -2.4171 eV per atom

# 5
Density functional theory data (PBE-GGA) for an optimized crystal structure of Ti17N6O24.

Geometry as POSCAR:
```
Ti17N6O24
1.0
5.735 -4.836 0.000
5.735 4.836 0.000
-3.821 0.000 10.033
Ti N O
17 6 24
direct
0.000 0.000 0.000 Ti
0.052 0.159 0.327 Ti
0.062 0.733 0.193 Ti
0.166 0.275 0.673 Ti
0.267 0.938 0.807 Ti
0.333 0.330 0.999 Ti
0.378 0.500 0.318 Ti
0.391 0.060 0.175 Ti
0.443 0.228 0.500 Ti
0.500 0.622 0.682 Ti
0.606 0.276 0.822 Ti
0.670 0.667 0.001 Ti
0.724 0.394 0.178 Ti
0.725 0.834 0.327 Ti
0.772 0.557 0.500 Ti
0.841 0.948 0.673 Ti
0.940 0.609 0.825 Ti
0.204 0.155 0.500 N
0.239 0.091 0.999 N
0.534 0.466 0.500 N
0.573 0.427 0.000 N
0.845 0.796 0.500 N
0.909 0.761 0.001 N
0.048 0.086 0.700 O
0.053 0.822 0.813 O
0.145 0.441 0.870 O
0.178 0.947 0.187 O
0.214 0.693 0.359 O
0.229 0.522 0.128 O
0.268 0.277 0.312 O
0.307 0.786 0.641 O
0.386 0.154 0.812 O
0.393 0.402 0.688 O
0.478 0.771 0.872 O
0.514 0.273 0.181 O
0.547 0.034 0.369 O
0.559 0.855 0.130 O
0.598 0.607 0.312 O
0.635 0.122 0.632 O
0.723 0.732 0.688 O
0.727 0.486 0.819 O
0.804 0.101 0.870 O
0.846 0.614 0.188 O
0.878 0.365 0.368 O
0.899 0.196 0.130 O
0.914 0.952 0.300 O
0.966 0.453 0.631 O
```

Computed properties:
**Energy relative to the lowest polymorph listed for this composition**: 0.000 eV per atom
**Size of the total moment**: 0.000 μB per formula unit
**ΔH_f (0 K)**: -3.0089 eV per atom

# 6
Density functional theory data (PBE-GGA) for an optimized crystal structure of Ti17N6O24.

Geometry as POSCAR:
```
Ti17N6O24
1.0
10.394 0.000 0.000
0.978 10.667 0.000
3.787 3.549 10.032
Ti N O
34 12 48
direct
0.002 0.354 0.250 Ti
0.007 0.189 0.071 Ti
0.062 0.734 0.423 Ti
0.110 0.929 0.571 Ti
0.160 0.479 0.926 Ti
0.164 0.317 0.749 Ti
0.168 0.018 0.249 Ti
0.179 0.851 0.078 Ti
0.225 0.410 0.422 Ti
0.284 0.601 0.557 Ti
0.325 0.145 0.929 Ti
0.330 0.983 0.750 Ti
0.341 0.527 0.077 Ti
0.391 0.072 0.426 Ti
0.446 0.265 0.570 Ti
0.488 0.806 0.944 Ti
0.497 0.652 0.751 Ti
0.503 0.348 0.249 Ti
0.512 0.194 0.056 Ti
0.554 0.735 0.430 Ti
0.609 0.928 0.574 Ti
0.659 0.473 0.923 Ti
0.670 0.017 0.250 Ti
0.675 0.855 0.071 Ti
0.716 0.399 0.443 Ti
0.775 0.590 0.578 Ti
0.821 0.149 0.922 Ti
0.832 0.982 0.751 Ti
0.836 0.683 0.251 Ti
0.840 0.521 0.074 Ti
0.890 0.071 0.429 Ti
0.938 0.266 0.577 Ti
0.993 0.811 0.929 Ti
0.998 0.646 0.750 Ti
0.024 0.161 0.250 N
0.140 0.506 0.749 N
0.179 0.835 0.250 N
0.306 0.172 0.750 N
0.357 0.479 0.249 N
0.475 0.841 0.750 N
0.525 0.159 0.250 N
0.643 0.521 0.751 N
0.694 0.828 0.250 N
0.821 0.165 0.750 N
0.860 0.494 0.251 N
0.976 0.839 0.750 N
0.004 0.778 0.117 O
0.012 0.919 0.436 O
0.032 0.626 0.935 O
0.083 0.307 0.621 O
0.084 0.356 0.380 O
0.134 0.042 0.065 O
0.155 0.750 0.563 O
0.162 0.891 0.879 O
0.165 0.576 0.448 O
0.169 0.445 0.118 O
0.198 0.293 0.935 O
0.249 0.023 0.383 O
0.250 0.976 0.619 O
0.297 0.709 0.051 O
0.322 0.416 0.563 O
0.330 0.554 0.880 O
0.335 0.109 0.123 O
0.346 0.250 0.434 O
0.363 0.958 0.937 O
0.417 0.643 0.622 O
0.417 0.689 0.391 O
0.472 0.375 0.062 O
0.488 0.081 0.565 O
0.489 0.218 0.890 O
0.511 0.782 0.110 O
0.512 0.919 0.435 O
0.528 0.625 0.938 O
0.583 0.311 0.609 O
0.583 0.357 0.378 O
0.637 0.042 0.063 O
0.654 0.750 0.566 O
0.665 0.891 0.877 O
0.670 0.446 0.120 O
0.678 0.584 0.437 O
0.703 0.291 0.949 O
0.750 0.024 0.381 O
0.751 0.977 0.617 O
0.802 0.707 0.065 O
0.831 0.555 0.882 O
0.835 0.424 0.552 O
0.838 0.109 0.121 O
0.845 0.250 0.437 O
0.866 0.958 0.935 O
0.916 0.644 0.620 O
0.917 0.693 0.379 O
0.968 0.374 0.065 O
0.988 0.081 0.564 O
0.996 0.222 0.883 O
```

Computed properties:
**Energy relative to the lowest polymorph listed for this composition**: 0.002 eV per atom
**Size of the total moment**: 0.003 μB per formula unit
**ΔH_f (0 K)**: -3.0076 eV per atom

# 7
Density functional theory data (PBE-GGA) for an optimized crystal structure of Ti17N6O24.

Geometry as POSCAR:
```
Ti17N6O24
1.0
10.394 0.000 0.000
0.000 10.027 0.000
-4.234 0.000 10.678
Ti N O
34 12 48
direct
0.052 0.250 0.100 Ti
0.054 0.250 0.435 Ti
0.054 0.250 0.769 Ti
0.112 0.572 0.454 Ti
0.112 0.572 0.788 Ti
0.112 0.928 0.454 Ti
0.112 0.928 0.788 Ti
0.114 0.571 0.121 Ti
0.114 0.929 0.121 Ti
0.387 0.057 0.212 Ti
0.387 0.443 0.212 Ti
0.394 0.077 0.553 Ti
0.394 0.077 0.877 Ti
0.394 0.423 0.553 Ti
0.394 0.423 0.877 Ti
0.448 0.750 0.571 Ti
0.448 0.750 0.895 Ti
0.552 0.250 0.105 Ti
0.552 0.250 0.429 Ti
0.606 0.577 0.123 Ti
0.606 0.577 0.447 Ti
0.606 0.923 0.123 Ti
0.606 0.923 0.447 Ti
0.613 0.557 0.788 Ti
0.613 0.943 0.788 Ti
0.886 0.071 0.879 Ti
0.886 0.429 0.879 Ti
0.888 0.072 0.212 Ti
0.888 0.072 0.546 Ti
0.888 0.428 0.212 Ti
0.888 0.428 0.546 Ti
0.946 0.750 0.231 Ti
0.946 0.750 0.565 Ti
0.948 0.750 0.900 Ti
0.016 0.750 0.090 N
0.019 0.750 0.423 N
0.019 0.750 0.756 N
0.470 0.250 0.558 N
0.470 0.250 0.922 N
0.478 0.250 0.243 N
0.522 0.750 0.757 N
0.530 0.750 0.078 N
0.530 0.750 0.442 N
0.981 0.250 0.244 N
0.981 0.250 0.577 N
0.984 0.250 0.910 N
0.062 0.563 0.271 O
0.062 0.937 0.271 O
0.063 0.564 0.604 O
0.063 0.936 0.604 O
0.065 0.566 0.938 O
0.065 0.934 0.938 O
0.200 0.122 0.150 O
0.200 0.378 0.150 O
0.201 0.119 0.485 O
0.201 0.381 0.485 O
0.202 0.119 0.817 O
0.202 0.381 0.817 O
0.294 0.610 0.182 O
0.294 0.890 0.182 O
0.296 0.620 0.513 O
0.296 0.880 0.513 O
0.297 0.620 0.850 O
0.297 0.880 0.850 O
0.426 0.053 0.725 O
0.426 0.447 0.725 O
0.441 0.062 0.065 O
0.441 0.062 0.395 O
0.441 0.438 0.065 O
0.441 0.438 0.395 O
0.559 0.562 0.605 O
0.559 0.562 0.935 O
0.559 0.938 0.605 O
0.559 0.938 0.935 O
0.574 0.553 0.275 O
0.574 0.947 0.275 O
0.703 0.120 0.150 O
0.703 0.380 0.150 O
0.704 0.120 0.487 O
0.704 0.380 0.487 O
0.706 0.110 0.818 O
0.706 0.390 0.818 O
0.798 0.619 0.183 O
0.798 0.881 0.183 O
0.799 0.619 0.515 O
0.799 0.881 0.515 O
0.800 0.622 0.850 O
0.800 0.878 0.850 O
0.935 0.066 0.062 O
0.935 0.434 0.062 O
0.937 0.064 0.396 O
0.937 0.436 0.396 O
0.938 0.063 0.729 O
0.938 0.437 0.729 O
```

Computed properties:
**Energy relative to the lowest polymorph listed for this composition**: 0.002 eV per atom
**Size of the total moment**: 0.000 μB per formula unit
**ΔH_f (0 K)**: -3.0074 eV per atom

# 8
Density functional theory data (PBE-GGA) for an optimized crystal structure of Ti17N6O24.

Geometry as POSCAR:
```
Ti17N6O24
1.0
10.397 0.000 0.000
0.000 10.031 0.000
-0.982 0.000 10.672
Ti N O
34 12 48
direct
0.002 0.250 0.106 Ti
0.044 0.077 0.877 Ti
0.044 0.423 0.877 Ti
0.115 0.577 0.449 Ti
0.115 0.923 0.449 Ti
0.162 0.250 0.431 Ti
0.219 0.058 0.213 Ti
0.219 0.442 0.213 Ti
0.281 0.571 0.789 Ti
0.281 0.929 0.789 Ti
0.331 0.250 0.769 Ti
0.335 0.750 0.567 Ti
0.383 0.072 0.548 Ti
0.383 0.428 0.548 Ti
0.446 0.571 0.121 Ti
0.446 0.929 0.121 Ti
0.497 0.250 0.099 Ti
0.503 0.750 0.901 Ti
0.554 0.071 0.879 Ti
0.554 0.429 0.879 Ti
0.617 0.572 0.452 Ti
0.617 0.928 0.452 Ti
0.665 0.250 0.433 Ti
0.669 0.750 0.231 Ti
0.719 0.071 0.211 Ti
0.719 0.429 0.211 Ti
0.781 0.558 0.787 Ti
0.781 0.942 0.787 Ti
0.838 0.750 0.569 Ti
0.885 0.077 0.551 Ti
0.885 0.423 0.551 Ti
0.956 0.577 0.123 Ti
0.956 0.923 0.123 Ti
0.998 0.750 0.894 Ti
0.009 0.750 0.079 N
0.142 0.250 0.244 N
0.190 0.750 0.439 N
0.308 0.250 0.575 N
0.356 0.750 0.757 N
0.471 0.250 0.911 N
0.529 0.750 0.089 N
0.644 0.250 0.243 N
0.692 0.750 0.425 N
0.810 0.250 0.561 N
0.858 0.750 0.756 N
0.991 0.250 0.921 N
0.041 0.120 0.486 O
0.041 0.380 0.486 O
0.064 0.551 0.275 O
0.064 0.949 0.275 O
0.092 0.061 0.065 O
0.092 0.439 0.065 O
0.128 0.620 0.851 O
0.128 0.880 0.851 O
0.206 0.118 0.816 O
0.206 0.382 0.816 O
0.243 0.562 0.604 O
0.243 0.938 0.604 O
0.259 0.063 0.396 O
0.259 0.437 0.396 O
0.297 0.610 0.181 O
0.297 0.890 0.181 O
0.375 0.122 0.150 O
0.375 0.378 0.150 O
0.404 0.566 0.938 O
0.404 0.934 0.938 O
0.427 0.065 0.729 O
0.427 0.435 0.729 O
0.460 0.619 0.515 O
0.460 0.881 0.515 O
0.540 0.119 0.485 O
0.540 0.381 0.485 O
0.573 0.565 0.271 O
0.573 0.935 0.271 O
0.596 0.066 0.062 O
0.596 0.434 0.062 O
0.625 0.622 0.850 O
0.625 0.878 0.850 O
0.703 0.110 0.819 O
0.703 0.390 0.819 O
0.741 0.563 0.604 O
0.741 0.937 0.604 O
0.757 0.062 0.396 O
0.757 0.438 0.396 O
0.794 0.618 0.184 O
0.794 0.882 0.184 O
0.872 0.120 0.149 O
0.872 0.380 0.149 O
0.908 0.561 0.935 O
0.908 0.939 0.935 O
0.936 0.051 0.725 O
0.936 0.449 0.725 O
0.959 0.620 0.514 O
0.959 0.880 0.514 O
```

Computed properties:
**Energy relative to the lowest polymorph listed for this composition**: 0.001 eV per atom
**Size of the total moment**: 0.000 μB per formula unit
**ΔH_f (0 K)**: -3.0081 eV per atom